[1]
Ta8NiSe8 | GGA-PBE | relaxed

corrected total energy (MP2020 scheme)	-8.436	eV per atom
symmetry	No. 62
formation energy	-0.8703	eV per atom

Cell: 3.4785 17.0336 22.7737 Å, 90.00 90.00 90.00°
Fractional positions:
Ta: 0.7500 0.0418 0.9553
Ta: 0.2500 0.5418 0.5447
Ta: 0.7500 0.2086 0.3335
Ta: 0.2500 0.0524 0.7458
Ta: 0.2500 0.4476 0.2458
Ta: 0.7500 0.4582 0.4553
Ta: 0.7500 0.1975 0.5532
Ta: 0.2500 0.1582 0.8757
Ta: 0.2500 0.9582 0.0447
Ta: 0.7500 0.8178 0.5577
Ta: 0.7500 0.8418 0.1243
Ta: 0.2500 0.7086 0.1665
Ta: 0.7500 0.9476 0.2542
Ta: 0.2500 0.6975 0.9468
Ta: 0.2500 0.1822 0.4423
Ta: 0.2500 0.0615 0.3155
Ta: 0.7500 0.6822 0.0577
Ta: 0.7500 0.6639 0.4824
Ta: 0.2500 0.4385 0.8155
Ta: 0.7500 0.9385 0.6845
Ta: 0.7500 0.5615 0.1845
Ta: 0.7500 0.6582 0.6243
Ta: 0.7500 0.5524 0.7542
Ta: 0.2500 0.7914 0.6665
Ta: 0.2500 0.3361 0.5176
Ta: 0.2500 0.3418 0.3757
Ta: 0.2500 0.8025 0.4468
Ta: 0.7500 0.2914 0.8335
Ta: 0.2500 0.3178 0.9423
Ta: 0.2500 0.1639 0.0176
Ta: 0.7500 0.3025 0.0532
Ta: 0.7500 0.8361 0.9824
Ni: 0.2500 0.7093 0.5544
Ni: 0.7500 0.2907 0.4456
Ni: 0.2500 0.7907 0.0544
Ni: 0.7500 0.2093 0.9456
Se: 0.7500 0.0904 0.6654
Se: 0.7500 0.7130 0.7313
Se: 0.7500 0.3957 0.7369
Se: 0.2500 0.9316 0.9264
Se: 0.2500 0.9502 0.1624
Se: 0.2500 0.5904 0.8346
Se: 0.2500 0.9096 0.3346
Se: 0.7500 0.4096 0.1654
Se: 0.2500 0.4122 0.0311
Se: 0.2500 0.5498 0.6624
Se: 0.2500 0.5756 0.0978
Se: 0.7500 0.7870 0.2313
Se: 0.2500 0.6043 0.2631
Se: 0.2500 0.2870 0.2687
Se: 0.2500 0.8957 0.7631
Se: 0.7500 0.9122 0.4689
Se: 0.7500 0.5878 0.9689
Se: 0.7500 0.1043 0.2369
Se: 0.7500 0.4502 0.3376
Se: 0.2500 0.2319 0.1204
Se: 0.2500 0.2681 0.6204
Se: 0.7500 0.0498 0.8376
Se: 0.2500 0.9244 0.5978
Se: 0.2500 0.5684 0.4264
Se: 0.2500 0.2130 0.7687
Se: 0.7500 0.4316 0.5736
Se: 0.7500 0.4244 0.9022
Se: 0.2500 0.0878 0.5311
Se: 0.7500 0.0684 0.0736
Se: 0.7500 0.7319 0.3796
Se: 0.7500 0.7681 0.8796
Se: 0.7500 0.0756 0.4022

[2]
NiTeSe | GGA-PBE | relaxed

corrected total energy (MP2020 scheme)	-4.544	eV per atom
symmetry	No. 156
formation energy	-0.4042	eV per atom

Cell: 3.7676 3.7676 5.0544 Å, 90.00 90.00 120.00°
Fractional positions:
Ni: 0.0000 0.0000 0.0130
Te: 0.6667 0.3333 0.7473
Se: 0.3333 0.6667 0.2397

The lowest formation energy belongs to which entry? Ta8NiSe8